Entry 1:
Computed, not measured: ErB3O6 after structural relaxation at the PBE level of DFT.

**ΔE_f**: -3.20 eV per atom
**Theoretical density**: 5.41 g/cm3
**Space group**: No. 62

Unit cell a=7.416 b=12.262 c=15.964 alpha=90.00 beta=90.00 gamma=90.00
Element x y z (fractional)
1 Er 0.750 0.010 0.121
2 Er 0.750 0.435 0.327
3 Er 0.250 0.510 0.379
4 Er 0.750 0.765 0.628
5 Er 0.250 0.265 0.872
6 Er 0.750 0.490 0.621
7 Er 0.250 0.911 0.548
8 Er 0.750 0.411 0.952
9 Er 0.250 0.990 0.879
10 Er 0.750 0.735 0.128
11 Er 0.750 0.065 0.827
12 Er 0.750 0.089 0.452
13 Er 0.250 0.235 0.372
14 Er 0.250 0.589 0.048
15 Er 0.250 0.565 0.673
16 Er 0.250 0.935 0.173
17 B 0.076 0.143 0.110
18 B 0.931 0.129 0.258
19 B 0.422 0.517 0.848
20 B 0.060 0.677 0.532
21 B 0.573 0.654 0.943
22 B 0.431 0.871 0.742
23 B 0.422 0.983 0.348
24 B 0.070 0.185 0.718
25 B 0.060 0.823 0.032
26 B 0.570 0.815 0.282
27 B 0.070 0.315 0.218
28 B 0.073 0.346 0.057
29 B 0.427 0.346 0.057
30 B 0.440 0.677 0.532
31 B 0.430 0.315 0.218
32 B 0.927 0.846 0.443
33 B 0.931 0.371 0.758
34 B 0.424 0.143 0.110
35 B 0.427 0.154 0.557
36 B 0.078 0.517 0.848
37 B 0.078 0.983 0.348
38 B 0.576 0.643 0.390
39 B 0.440 0.823 0.032
40 B 0.930 0.685 0.782
41 B 0.922 0.483 0.152
42 B 0.940 0.323 0.468
43 B 0.560 0.323 0.468
44 B 0.924 0.643 0.390
45 B 0.940 0.177 0.968
46 B 0.431 0.629 0.242
47 B 0.076 0.357 0.610
48 B 0.570 0.685 0.782
49 B 0.069 0.871 0.742
50 B 0.569 0.371 0.758
51 B 0.430 0.185 0.718
52 B 0.573 0.846 0.443
53 B 0.560 0.177 0.968
54 B 0.569 0.129 0.258
55 B 0.578 0.483 0.152
56 B 0.930 0.815 0.282
57 B 0.069 0.629 0.242
58 B 0.578 0.017 0.652
59 B 0.073 0.154 0.557
60 B 0.424 0.357 0.610
61 B 0.924 0.857 0.890
62 B 0.922 0.017 0.652
63 B 0.576 0.857 0.890
64 B 0.927 0.654 0.943
65 O 0.060 0.568 0.931
66 O 0.534 0.577 0.315
67 O 0.250 0.143 0.746
68 O 0.926 0.765 0.371
69 O 0.566 0.400 0.218
70 O 0.934 0.065 0.336
71 O 0.457 0.121 0.904
72 O 0.034 0.077 0.185
73 O 0.066 0.600 0.782
74 O 0.567 0.378 0.549
75 O 0.478 0.270 0.777
76 O 0.977 0.790 0.522
77 O 0.957 0.879 0.096
78 O 0.750 0.643 0.754
79 O 0.934 0.400 0.218
80 O 0.966 0.577 0.315
81 O 0.750 0.601 0.951
82 O 0.543 0.879 0.096
83 O 0.957 0.621 0.596
84 O 0.043 0.379 0.404
85 O 0.940 0.432 0.069
86 O 0.534 0.923 0.815
87 O 0.940 0.068 0.569
88 O 0.522 0.770 0.723
89 O 0.933 0.378 0.549
90 O 0.477 0.210 0.478
91 O 0.934 0.100 0.718
92 O 0.250 0.399 0.049
93 O 0.426 0.235 0.629
94 O 0.022 0.270 0.777
95 O 0.250 0.357 0.246
96 O 0.978 0.770 0.723
97 O 0.523 0.710 0.022
98 O 0.933 0.122 0.049
99 O 0.750 0.360 0.724
100 O 0.566 0.065 0.336
101 O 0.440 0.568 0.931
102 O 0.926 0.735 0.871
103 O 0.250 0.640 0.276
104 O 0.543 0.621 0.596
105 O 0.434 0.935 0.664
106 O 0.523 0.790 0.522
107 O 0.750 0.899 0.451
108 O 0.250 0.457 0.841
109 O 0.023 0.290 0.978
110 O 0.466 0.423 0.685
111 O 0.023 0.210 0.478
112 O 0.250 0.860 0.776
113 O 0.477 0.290 0.978
114 O 0.067 0.878 0.951
115 O 0.934 0.435 0.836
116 O 0.043 0.121 0.904
117 O 0.574 0.735 0.871
118 O 0.966 0.923 0.815
119 O 0.750 0.196 0.933
120 O 0.022 0.230 0.277
121 O 0.560 0.068 0.569
122 O 0.250 0.043 0.341
123 O 0.433 0.622 0.451
124 O 0.066 0.900 0.282
125 O 0.750 0.895 0.922
126 O 0.560 0.432 0.069
127 O 0.466 0.077 0.185
128 O 0.250 0.696 0.567
129 O 0.250 0.101 0.549
130 O 0.440 0.932 0.431
131 O 0.250 0.395 0.578
132 O 0.066 0.565 0.164
133 O 0.478 0.230 0.277
134 O 0.034 0.423 0.685
135 O 0.750 0.857 0.254
136 O 0.426 0.265 0.129
137 O 0.074 0.235 0.629
138 O 0.750 0.605 0.422
139 O 0.074 0.265 0.129
140 O 0.566 0.435 0.836
141 O 0.250 0.105 0.078
142 O 0.067 0.622 0.451
143 O 0.566 0.100 0.718
144 O 0.567 0.122 0.049
145 O 0.250 0.804 0.067
146 O 0.522 0.730 0.223
147 O 0.433 0.878 0.951
148 O 0.750 0.543 0.159
149 O 0.434 0.600 0.782
150 O 0.750 0.140 0.224
151 O 0.750 0.957 0.659
152 O 0.457 0.379 0.404
153 O 0.434 0.900 0.282
154 O 0.977 0.710 0.022
155 O 0.066 0.935 0.664
156 O 0.750 0.304 0.433
157 O 0.434 0.565 0.164
158 O 0.574 0.765 0.371
159 O 0.978 0.730 0.223
160 O 0.060 0.932 0.431

Entry 2:
Computed, not measured: ErBO3 after structural relaxation at the PBE level of DFT.

**ΔE_f**: -3.57 eV per atom
**Theoretical density**: 6.91 g/cm3
**Space group**: No. 15

Unit cell a=6.527 b=6.527 c=9.571 alpha=70.42 beta=70.42 gamma=60.08
Element x y z (fractional)
1 Er 0.000 0.500 0.500
2 Er 0.500 0.000 0.000
3 Er 0.170 0.659 0.999
4 Er 0.341 0.830 0.501
5 Er 0.830 0.341 0.001
6 Er 0.659 0.170 0.499
7 B 0.918 0.841 0.747
8 B 0.159 0.082 0.753
9 B 0.082 0.159 0.253
10 B 0.841 0.918 0.247
11 B 0.675 0.325 0.750
12 B 0.325 0.675 0.250
13 O 0.966 0.782 0.602
14 O 0.218 0.034 0.898
15 O 0.034 0.218 0.398
16 O 0.782 0.966 0.102
17 O 0.870 0.684 0.889
18 O 0.316 0.130 0.611
19 O 0.130 0.316 0.111
20 O 0.684 0.870 0.389
21 O 0.517 0.386 0.892
22 O 0.614 0.483 0.608
23 O 0.483 0.614 0.108
24 O 0.386 0.517 0.392
25 O 0.917 0.302 0.752
26 O 0.698 0.083 0.748
27 O 0.083 0.698 0.248
28 O 0.302 0.917 0.252
29 O 0.136 0.864 0.750
30 O 0.864 0.136 0.250

Entry 3:
Computed, not measured: ErBO3 after structural relaxation at the PBE level of DFT.

**ΔE_f**: -3.51 eV per atom
**Theoretical density**: 7.36 g/cm3
**Space group**: No. 2

Unit cell a=7.182 b=8.984 c=9.838 alpha=81.34 beta=85.66 gamma=77.36
Element x y z (fractional)
1 Er 0.263 0.558 0.973
2 Er 0.737 0.442 0.027
3 Er 0.751 0.958 0.519
4 Er 0.249 0.042 0.481
5 Er 0.902 0.067 0.837
6 Er 0.098 0.933 0.163
7 Er 0.097 0.436 0.671
8 Er 0.903 0.564 0.329
9 Er 0.564 0.558 0.657
10 Er 0.436 0.442 0.343
11 Er 0.427 0.943 0.845
12 Er 0.573 0.057 0.155
13 B 0.478 0.285 0.922
14 B 0.522 0.715 0.078
15 B 0.466 0.780 0.387
16 B 0.534 0.220 0.613
17 B 0.831 0.728 0.794
18 B 0.169 0.272 0.206
19 B 0.220 0.783 0.692
20 B 0.780 0.217 0.308
21 B 0.885 0.744 0.051
22 B 0.115 0.256 0.949
23 B 0.107 0.752 0.448
24 B 0.893 0.248 0.552
25 O 0.065 0.186 0.630
26 O 0.935 0.814 0.370
27 O 0.941 0.318 0.873
28 O 0.059 0.682 0.127
29 O 0.920 0.161 0.428
30 O 0.080 0.839 0.572
31 O 0.081 0.335 0.081
32 O 0.919 0.665 0.919
33 O 0.850 0.413 0.534
34 O 0.150 0.587 0.466
35 O 0.153 0.090 0.964
36 O 0.847 0.910 0.036
37 O 0.268 0.818 0.364
38 O 0.732 0.182 0.636
39 O 0.271 0.324 0.872
40 O 0.729 0.676 0.128
41 O 0.843 0.125 0.198
42 O 0.157 0.875 0.802
43 O 0.169 0.370 0.301
44 O 0.831 0.630 0.699
45 O 0.755 0.384 0.263
46 O 0.245 0.616 0.737
47 O 0.246 0.117 0.240
48 O 0.754 0.883 0.760
49 O 0.454 0.093 0.626
50 O 0.546 0.907 0.374
51 O 0.435 0.593 0.149
52 O 0.565 0.407 0.851
53 O 0.566 0.632 0.416
54 O 0.434 0.368 0.584
55 O 0.428 0.873 0.088
56 O 0.572 0.127 0.912
57 O 0.591 0.187 0.368
58 O 0.409 0.813 0.632
59 O 0.474 0.311 0.071
60 O 0.526 0.689 0.929

Entry 4:
Computed, not measured: ErScB2O6 after structural relaxation at the PBE level of DFT.

**ΔE_f**: -3.49 eV per atom
**Theoretical density**: 4.95 g/cm3
**Space group**: No. 148

Unit cell a=6.041 b=6.041 c=6.041 alpha=47.79 beta=47.79 gamma=47.79
Element x y z (fractional)
1 Er 0.000 0.000 0.000
2 Sc 0.500 0.500 0.500
3 B 0.246 0.246 0.246
4 B 0.754 0.754 0.754
5 O 0.522 0.955 0.263
6 O 0.263 0.522 0.955
7 O 0.955 0.263 0.522
8 O 0.737 0.478 0.045
9 O 0.045 0.737 0.478
10 O 0.478 0.045 0.737

Entry 5:
Computed, not measured: Sr3Er2B4O12 after structural relaxation at the PBE level of DFT.

**ΔE_f**: -3.37 eV per atom
**Theoretical density**: 5.29 g/cm3
**Space group**: No. 33

Unit cell a=7.376 b=8.718 c=16.272 alpha=90.00 beta=90.00 gamma=90.00
Element x y z (fractional)
1 Sr 0.669 0.352 0.936
2 Sr 0.331 0.648 0.436
3 Sr 0.831 0.852 0.436
4 Sr 0.169 0.148 0.936
5 Sr 0.966 0.339 0.731
6 Sr 0.034 0.661 0.231
7 Sr 0.534 0.839 0.231
8 Sr 0.466 0.161 0.731
9 Sr 0.696 0.348 0.188
10 Sr 0.304 0.652 0.688
11 Sr 0.804 0.848 0.688
12 Sr 0.196 0.152 0.188
13 Er 0.002 0.323 0.397
14 Er 0.998 0.677 0.897
15 Er 0.498 0.823 0.897
16 Er 0.502 0.177 0.397
17 Er 0.683 0.473 0.563
18 Er 0.317 0.527 0.063
19 Er 0.817 0.973 0.063
20 Er 0.183 0.027 0.563
21 B 0.986 0.374 0.057
22 B 0.014 0.626 0.557
23 B 0.514 0.874 0.557
24 B 0.486 0.126 0.057
25 B 0.289 0.345 0.558
26 B 0.711 0.655 0.058
27 B 0.211 0.845 0.058
28 B 0.789 0.155 0.558
29 B 0.346 0.432 0.273
30 B 0.654 0.568 0.773
31 B 0.154 0.932 0.773
32 B 0.846 0.068 0.273
33 B 0.324 0.456 0.863
34 B 0.676 0.544 0.363
35 B 0.176 0.956 0.363
36 B 0.824 0.044 0.863
37 O 0.383 0.259 0.053
38 O 0.617 0.741 0.553
39 O 0.117 0.759 0.553
40 O 0.883 0.241 0.053
41 O 0.057 0.424 0.131
42 O 0.943 0.576 0.631
43 O 0.443 0.924 0.631
44 O 0.557 0.076 0.131
45 O 0.035 0.458 0.987
46 O 0.965 0.542 0.487
47 O 0.465 0.958 0.487
48 O 0.535 0.042 0.987
49 O 0.224 0.264 0.625
50 O 0.776 0.736 0.125
51 O 0.276 0.764 0.125
52 O 0.724 0.236 0.625
53 O 0.270 0.272 0.482
54 O 0.730 0.728 0.982
55 O 0.230 0.772 0.982
56 O 0.770 0.228 0.482
57 O 0.626 0.516 0.066
58 O 0.374 0.484 0.566
59 O 0.874 0.016 0.566
60 O 0.126 0.984 0.066
61 O 0.206 0.467 0.327
62 O 0.794 0.533 0.827
63 O 0.294 0.967 0.827
64 O 0.706 0.033 0.327
65 O 0.442 0.296 0.282
66 O 0.558 0.704 0.782
67 O 0.058 0.796 0.782
68 O 0.942 0.204 0.282
69 O 0.614 0.478 0.706
70 O 0.386 0.522 0.206
71 O 0.886 0.978 0.206
72 O 0.114 0.022 0.706
73 O 0.817 0.484 0.318
74 O 0.183 0.516 0.818
75 O 0.683 0.984 0.818
76 O 0.317 0.016 0.318
77 O 0.382 0.307 0.851
78 O 0.618 0.693 0.351
79 O 0.118 0.807 0.351
80 O 0.882 0.193 0.851
81 O 0.590 0.456 0.424
82 O 0.410 0.544 0.924
83 O 0.910 0.956 0.924
84 O 0.090 0.044 0.424

Entry 6:
Computed, not measured: Er2B6Os after structural relaxation at the PBE level of DFT.

**ΔE_f**: -0.69 eV per atom
**Theoretical density**: 10.29 g/cm3
**Space group**: No. 55

Unit cell a=3.637 b=9.113 c=11.484 alpha=90.00 beta=90.00 gamma=90.00
Element x y z (fractional)
1 Er 0.000 0.321 0.414
2 Er 0.000 0.679 0.586
3 Er 0.000 0.821 0.086
4 Er 0.000 0.179 0.914
5 Er 0.000 0.945 0.373
6 Er 0.000 0.055 0.627
7 Er 0.000 0.445 0.127
8 Er 0.000 0.555 0.873
9 B 0.500 0.554 0.434
10 B 0.500 0.446 0.566
11 B 0.500 0.054 0.066
12 B 0.500 0.946 0.934
13 B 0.500 0.749 0.421
14 B 0.500 0.251 0.579
15 B 0.500 0.249 0.079
16 B 0.500 0.751 0.921
17 B 0.500 0.792 0.267
18 B 0.500 0.208 0.733
19 B 0.500 0.292 0.233
20 B 0.500 0.708 0.767
21 B 0.500 0.633 0.186
22 B 0.500 0.367 0.814
23 B 0.500 0.133 0.314
24 B 0.500 0.867 0.686
25 B 0.500 0.984 0.213
26 B 0.500 0.016 0.787
27 B 0.500 0.484 0.287
28 B 0.500 0.516 0.713
29 B 0.500 0.610 0.031
30 B 0.500 0.390 0.969
31 B 0.500 0.110 0.469
32 B 0.500 0.890 0.531
33 Os 0.000 0.638 0.322
34 Os 0.000 0.362 0.678
35 Os 0.000 0.138 0.178
36 Os 0.000 0.862 0.822

Entry 7:
Computed, not measured: ErB4Os after structural relaxation at the PBE level of DFT.

**ΔE_f**: -0.59 eV per atom
**Theoretical density**: 10.93 g/cm3
**Space group**: No. 55

Unit cell a=3.558 b=5.950 c=11.507 alpha=90.00 beta=90.00 gamma=90.00
Element x y z (fractional)
1 Er 0.000 0.628 0.350
2 Er 0.000 0.372 0.650
3 Er 0.000 0.128 0.150
4 Er 0.000 0.872 0.850
5 B 0.500 0.790 0.186
6 B 0.500 0.210 0.814
7 B 0.500 0.290 0.314
8 B 0.500 0.710 0.686
9 B 0.500 0.864 0.030
10 B 0.500 0.136 0.970
11 B 0.500 0.364 0.470
12 B 0.500 0.636 0.530
13 B 0.500 0.887 0.453
14 B 0.500 0.113 0.547
15 B 0.500 0.387 0.047
16 B 0.500 0.613 0.953
17 B 0.500 0.975 0.308
18 B 0.500 0.025 0.692
19 B 0.500 0.475 0.192
20 B 0.500 0.525 0.808
21 Os 0.000 0.642 0.094
22 Os 0.000 0.358 0.906
23 Os 0.000 0.142 0.406
24 Os 0.000 0.858 0.594